Arrangement P

A plane-wave DFT calculation with GGA+U was carried out for crystalline VCo3O8 at its relaxed geometry.

The structure in POSCAR format:
```
VCo3O8
1.0
5.668 0.000 0.000
-2.834 4.909 0.000
0.000 0.000 8.835
V Co O
2 6 16
Direct
0.333 0.667 0.000 V
0.667 0.333 0.500 V
0.170 0.341 0.715 Co
0.170 0.830 0.715 Co
0.341 0.170 0.215 Co
0.659 0.830 0.715 Co
0.830 0.170 0.215 Co
0.830 0.659 0.215 Co
0.000 0.000 0.309 O
0.000 0.000 0.809 O
0.040 0.520 0.834 O
0.174 0.347 0.096 O
0.174 0.826 0.096 O
0.333 0.667 0.604 O
0.347 0.174 0.596 O
0.480 0.520 0.834 O
0.480 0.960 0.834 O
0.520 0.040 0.334 O
0.520 0.480 0.334 O
0.653 0.826 0.096 O
0.667 0.333 0.104 O
0.826 0.174 0.596 O
0.826 0.653 0.596 O
0.960 0.480 0.334 O
```

Values from the calculation:
Space group ... P6_3mc
Theoretical density ... 4.8 g/cm³
Calculated volume ... 10.2 Å³/atom
Crystal system ... hexagonal
Size of the total moment ... 2.00 μB/f.u.


Arrangement Q

A plane-wave DFT calculation with GGA+U was carried out for crystalline VCo3O8 at its relaxed geometry.

The structure in POSCAR format:
```
VCo3O8
1.0
2.838 -4.953 0.000
2.838 4.953 0.000
-0.077 0.000 8.847
V Co O
2 6 16
Direct
0.168 0.832 0.500 V
0.832 0.168 0.000 V
0.155 0.326 0.283 Co
0.326 0.155 0.783 Co
0.328 0.663 0.791 Co
0.663 0.328 0.291 Co
0.665 0.835 0.288 Co
0.835 0.665 0.788 Co
0.006 0.538 0.664 O
0.011 0.971 0.666 O
0.149 0.308 0.905 O
0.169 0.837 0.893 O
0.308 0.149 0.405 O
0.329 0.670 0.402 O
0.451 0.990 0.655 O
0.488 0.489 0.191 O
0.489 0.488 0.691 O
0.538 0.006 0.164 O
0.670 0.329 0.902 O
0.673 0.833 0.903 O
0.833 0.673 0.403 O
0.837 0.169 0.393 O
0.971 0.011 0.166 O
0.990 0.451 0.155 O
```

Values from the calculation:
Space group ... Cc
Theoretical density ... 4.8 g/cm³
Calculated volume ... 10.4 Å³/atom
Crystal system ... monoclinic
Size of the total moment ... 0.01 μB/f.u.


Stability, highest: arrangement P


Arrangement P

A plane-wave DFT calculation with GGA+U was carried out for crystalline Li3MnP2O8 at its relaxed geometry.

The structure in POSCAR format:
```
Li3MnP2O8
1.0
0.000 6.060 0.000
-0.184 0.000 9.479
10.098 0.000 -0.199
Li Mn P O
12 4 8 32
Direct
0.000 0.000 0.000 Li
0.000 0.500 0.000 Li
0.500 0.000 0.000 Li
0.500 0.500 0.000 Li
0.750 0.238 0.215 Li
0.750 0.738 0.215 Li
0.250 0.262 0.785 Li
0.250 0.762 0.785 Li
0.000 0.250 0.500 Li
0.000 0.750 0.500 Li
0.500 0.250 0.500 Li
0.500 0.750 0.500 Li
0.250 0.985 0.283 Mn
0.750 0.015 0.717 Mn
0.250 0.485 0.283 Mn
0.750 0.515 0.717 Mn
0.250 0.203 0.104 P
0.250 0.703 0.104 P
0.750 0.297 0.896 P
0.750 0.797 0.896 P
0.750 0.466 0.409 P
0.750 0.966 0.409 P
0.250 0.034 0.591 P
0.250 0.534 0.591 P
0.750 0.347 0.043 O
0.750 0.847 0.043 O
0.250 0.153 0.957 O
0.250 0.653 0.957 O
0.250 0.369 0.117 O
0.250 0.869 0.117 O
0.750 0.131 0.883 O
0.750 0.631 0.883 O
0.750 0.126 0.416 O
0.750 0.626 0.416 O
0.250 0.374 0.584 O
0.250 0.874 0.584 O
0.250 0.099 0.447 O
0.250 0.599 0.447 O
0.750 0.401 0.553 O
0.750 0.901 0.553 O
0.047 0.137 0.174 O
0.047 0.637 0.174 O
0.453 0.137 0.174 O
0.453 0.637 0.174 O
0.547 0.363 0.826 O
0.547 0.863 0.826 O
0.953 0.363 0.826 O
0.953 0.863 0.826 O
0.545 0.397 0.340 O
0.545 0.897 0.340 O
0.955 0.397 0.340 O
0.955 0.897 0.340 O
0.045 0.103 0.660 O
0.045 0.603 0.660 O
0.455 0.103 0.660 O
0.455 0.603 0.660 O
```

Values from the calculation:
Theoretical density ... 3.0 g/cm³
Calculated volume ... 10.4 Å³/atom
Size of the total moment ... 0.00 μB/f.u.


Arrangement Q

A plane-wave DFT calculation with GGA+U was carried out for crystalline Li3MnP2O8 at its relaxed geometry.

The structure in POSCAR format:
```
Li3MnP2O8
1.0
8.015 0.000 0.000
0.000 10.492 0.000
-2.574 0.000 8.074
Li Mn P O
12 4 8 32
Direct
0.033 0.000 0.016 Li
0.115 0.090 0.353 Li
0.123 0.258 0.860 Li
0.149 0.570 0.420 Li
0.150 0.776 0.906 Li
0.310 0.273 0.594 Li
0.690 0.773 0.406 Li
0.850 0.276 0.094 Li
0.851 0.070 0.580 Li
0.877 0.758 0.140 Li
0.885 0.590 0.647 Li
0.967 0.500 0.984 Li
0.380 0.774 0.618 Mn
0.387 0.581 0.118 Mn
0.613 0.081 0.882 Mn
0.620 0.274 0.382 Mn
0.210 0.019 0.725 P
0.226 0.338 0.225 P
0.286 0.837 0.298 P
0.295 0.510 0.804 P
0.705 0.010 0.196 P
0.714 0.337 0.702 P
0.774 0.838 0.775 P
0.790 0.519 0.275 P
0.078 0.322 0.057 O
0.081 0.044 0.553 O
0.139 0.074 0.859 O
0.174 0.268 0.362 O
0.176 0.578 0.904 O
0.185 0.761 0.403 O
0.201 0.964 0.236 O
0.228 0.378 0.745 O
0.252 0.485 0.260 O
0.252 0.874 0.755 O
0.299 0.756 0.150 O
0.301 0.595 0.658 O
0.385 0.093 0.721 O
0.402 0.284 0.206 O
0.469 0.846 0.437 O
0.473 0.509 0.947 O
0.527 0.009 0.053 O
0.531 0.346 0.563 O
0.598 0.784 0.794 O
0.615 0.593 0.279 O
0.699 0.095 0.342 O
0.701 0.256 0.850 O
0.748 0.374 0.245 O
0.748 0.985 0.740 O
0.772 0.878 0.255 O
0.799 0.464 0.764 O
0.815 0.261 0.597 O
0.824 0.078 0.096 O
0.826 0.768 0.638 O
0.861 0.574 0.141 O
0.919 0.544 0.447 O
0.922 0.822 0.943 O
```

Values from the calculation:
Space group ... P2_1
Theoretical density ... 2.6 g/cm³
Calculated volume ... 12.1 Å³/atom
Crystal system ... monoclinic
Size of the total moment ... 4.00 μB/f.u.


Stability, highest: arrangement P